Record 1
The following is a DFT calculation (PBE) of crystalline ScGeOs at its relaxed geometry.

theoretical density	10.391	Mg/m³
E_form	-1.89	eV per formula unit
V	16.40	Å³/atom

Unit cell a=7.0110 b=7.0110 c=3.4669 alpha=90.00 beta=90.00 gamma=120.00
Last column: nearest neighbours and their distance in Å.
Fractional positions:
Sc1 0.4014 0.4014 0.5000  5 Ge 2.75-2.81, 6 Os 2.96-3.02
Os1 0.0000 0.2561 0.0000  4 Ge 2.50-2.65
Os2 0.2561 0.0000 0.0000  4 Ge 2.50-2.65
Ge1 0.0000 0.0000 0.5000  6 Os 2.50
Ge2 0.6667 0.3333 0.0000  3 Os 2.65, 6 Sc 2.75
Os3 0.7439 0.7439 0.0000  4 Ge 2.50-2.65
Sc2 0.5986 0.0000 0.5000  5 Ge 2.75-2.81, 6 Os 2.96-3.02
Ge3 0.3333 0.6667 0.0000  3 Os 2.65, 6 Sc 2.75
Sc3 0.0000 0.5986 0.5000  5 Ge 2.75-2.81, 6 Os 2.96-3.02

Record 2
The following is a DFT calculation (PBE) of crystalline ScGe2Os at its relaxed geometry.

theoretical density	9.458	Mg/m³
E_form	-2.10	eV per formula unit
V	16.70	Å³/atom

Unit cell a=8.2040 b=9.3807 c=10.4153 alpha=90.00 beta=90.00 gamma=90.00
Last column: nearest neighbours and their distance in Å.
Fractional positions:
Sc1 0.0000 0.1649 0.8223  7 Ge 2.84-2.98, 4 Os 3.14-3.16
Os1 0.2493 0.9095 0.7378  6 Ge 2.45-2.72
Ge1 0.0000 0.1337 0.1013  4 Os 2.61-2.68, 4 Sc 2.71-2.92
Os2 0.7521 0.5000 0.5000  6 Ge 2.54-2.63
Os3 0.2493 0.5905 0.2378  6 Ge 2.45-2.72
Ge2 0.6536 0.6593 0.6807  1 Ge 2.52, 3 Os 2.54-2.62
Ge3 0.5000 0.5413 0.1153  2 Os 2.46, 1 Ge 2.52
Ge4 0.0000 0.9640 0.6173  2 Os 2.45, 1 Ge 2.54
Ge5 0.5000 0.1361 0.0963  4 Os 2.63-2.72, 2 Sc 2.80
Ge6 0.3464 0.3407 0.3193  1 Ge 2.52, 3 Os 2.54-2.62
Ge7 0.0000 0.0360 0.3827  2 Os 2.45, 1 Ge 2.54
Ge8 0.5000 0.3639 0.5963  4 Os 2.63-2.72, 2 Sc 2.80
Sc2 0.2408 0.1765 0.5508  8 Ge 2.71-3.02
Ge9 0.5000 0.0413 0.3847  2 Os 2.46, 1 Ge 2.52
Ge10 0.0000 0.3663 0.6013  4 Os 2.61-2.68, 4 Sc 2.71-2.92
Os4 0.2479 0.5000 0.5000  6 Ge 2.54-2.63
Sc3 0.0000 0.8351 0.1777  7 Ge 2.84-2.98, 4 Os 3.14-3.16
Ge11 0.5000 0.4587 0.8847  2 Os 2.46, 1 Ge 2.52
Sc4 0.7592 0.3235 0.0508  8 Ge 2.71-3.02
Os5 0.7507 0.4095 0.7622  6 Ge 2.45-2.72
Os6 0.2493 0.4095 0.7622  6 Ge 2.45-2.72
Ge12 0.3464 0.8407 0.1807  1 Ge 2.52, 3 Os 2.54-2.62
Os7 0.7507 0.9095 0.7378  6 Ge 2.45-2.72
Sc5 0.7592 0.6765 0.9492  8 Ge 2.71-3.02
Os8 0.7507 0.0905 0.2622  6 Ge 2.45-2.72
Ge13 0.0000 0.6337 0.3987  4 Os 2.61-2.68, 4 Sc 2.71-2.92
Ge14 0.0000 0.5360 0.1173  2 Os 2.45, 1 Ge 2.54
Sc6 0.0000 0.3351 0.3223  7 Ge 2.84-2.98, 4 Os 3.14-3.16
Ge15 0.0000 0.4640 0.8827  2 Os 2.45, 1 Ge 2.54
Ge16 0.6536 0.1593 0.8193  1 Ge 2.52, 3 Os 2.54-2.62
Sc7 0.2408 0.3235 0.0508  8 Ge 2.71-3.02
Sc8 0.2408 0.6765 0.9492  8 Ge 2.71-3.02
Ge17 0.6536 0.8407 0.1807  1 Ge 2.52, 3 Os 2.54-2.62
Ge18 0.0000 0.8663 0.8987  4 Os 2.61-2.68, 4 Sc 2.71-2.92
Os9 0.2479 0.0000 0.0000  6 Ge 2.54-2.63
Ge19 0.5000 0.8639 0.9037  4 Os 2.63-2.72, 2 Sc 2.80
Ge20 0.6536 0.3407 0.3193  1 Ge 2.52, 3 Os 2.54-2.62
Sc9 0.2408 0.8235 0.4492  8 Ge 2.71-3.02
Sc10 0.0000 0.6649 0.6777  7 Ge 2.84-2.98, 4 Os 3.14-3.16
Os10 0.2493 0.0905 0.2622  6 Ge 2.45-2.72
Sc11 0.7592 0.8235 0.4492  8 Ge 2.71-3.02
Os11 0.7507 0.5905 0.2378  6 Ge 2.45-2.72
Ge21 0.3464 0.6593 0.6807  1 Ge 2.52, 3 Os 2.54-2.62
Ge22 0.3464 0.1593 0.8193  1 Ge 2.52, 3 Os 2.54-2.62
Ge23 0.5000 0.9587 0.6153  2 Os 2.46, 1 Ge 2.52
Ge24 0.5000 0.6361 0.4037  4 Os 2.63-2.72, 2 Sc 2.80
Os12 0.7521 0.0000 0.0000  6 Ge 2.54-2.63
Sc12 0.7592 0.1765 0.5508  8 Ge 2.71-3.02

Record 3
The following is a DFT calculation (PBE) of crystalline ThGe2Os2 at its relaxed geometry.

theoretical density	13.496	Mg/m³
E_form	-2.20	eV per formula unit
V	18.65	Å³/atom

Unit cell a=5.8630 b=5.8630 c=5.8630 alpha=136.81 beta=136.81 gamma=62.73
Last column: nearest neighbours and their distance in Å.
Fractional positions:
Ge1 0.3713 0.3713 0.0000  4 Os 2.48, 1 Ge 2.58
Os1 0.2500 0.7500 0.5000  4 Ge 2.48
Os2 0.7500 0.2500 0.5000  4 Ge 2.48
Ge2 0.6287 0.6287 0.0000  4 Os 2.48, 1 Ge 2.58
Th1 0.0000 0.0000 0.0000  8 Os 3.30, 8 Ge 3.31

Record 4
The following is a DFT calculation (PBE) of crystalline Tm5Ge10Os4 at its relaxed geometry.

theoretical density	10.653	Mg/m³
E_form	-10.06	eV per formula unit
V	19.13	Å³/atom

Unit cell a=13.1021 b=13.1021 c=4.2349 alpha=90.00 beta=90.00 gamma=90.00
Last column: nearest neighbours and their distance in Å.
Fractional positions:
Ge1 0.1981 0.1641 0.0000  2 Os 2.48-2.61, 1 Ge 2.55
Ge2 0.8359 0.1981 0.0000  2 Os 2.48-2.61, 1 Ge 2.55
Os1 0.0181 0.2485 0.0000  5 Ge 2.45-2.61
Ge3 0.4917 0.6555 0.5000  2 Os 2.45
Os2 0.9819 0.7515 0.0000  5 Ge 2.45-2.61
Ge4 0.4331 0.9331 0.0000  1 Ge 2.48, 2 Os 2.50
Ge5 0.9917 0.8445 0.5000  2 Os 2.45
Tm1 0.8286 0.6714 0.5000  8 Ge 2.87-3.12, 4 Os 3.10
Os3 0.2515 0.4819 0.0000  5 Ge 2.45-2.61
Tm2 0.5000 0.5000 0.0000  8 Ge 2.94, 4 Os 3.26
Tm3 0.1714 0.3286 0.5000  8 Ge 2.87-3.12, 4 Os 3.10
Os4 0.7485 0.5181 0.0000  5 Ge 2.45-2.61
Ge6 0.5669 0.0669 0.0000  1 Ge 2.48, 2 Os 2.50
Ge7 0.1641 0.8019 0.0000  2 Os 2.48-2.61, 1 Ge 2.55
Tm4 0.3836 0.1164 0.5000  10 Ge 3.27-3.41, 4 Os 3.27
Ge8 0.6641 0.6981 0.0000  2 Os 2.48-2.61, 1 Ge 2.55
Ge9 0.1555 0.9917 0.5000  2 Os 2.45
Tm5 0.3286 0.8286 0.5000  8 Ge 2.87-3.12, 4 Os 3.10
Ge10 0.3019 0.6641 0.0000  2 Os 2.48-2.61, 1 Ge 2.55
Ge11 0.0083 0.1555 0.5000  2 Os 2.45
Ge12 0.3359 0.3019 0.0000  2 Os 2.48-2.61, 1 Ge 2.55
Os5 0.5181 0.2515 0.0000  5 Ge 2.45-2.61
Ge13 0.3445 0.4917 0.5000  2 Os 2.45
Ge14 0.6981 0.3359 0.0000  2 Os 2.48-2.61, 1 Ge 2.55
Tm6 0.1164 0.6164 0.5000  10 Ge 3.27-3.41, 4 Os 3.27
Ge15 0.8019 0.8359 0.0000  2 Os 2.48-2.61, 1 Ge 2.55
Ge16 0.8445 0.0083 0.5000  2 Os 2.45
Os6 0.4819 0.7485 0.0000  5 Ge 2.45-2.61
Tm7 0.0000 0.0000 0.0000  8 Ge 2.94, 4 Os 3.26
Ge17 0.6555 0.5083 0.5000  2 Os 2.45
Ge18 0.9331 0.5669 0.0000  1 Ge 2.48, 2 Os 2.50
Tm8 0.8836 0.3836 0.5000  10 Ge 3.27-3.41, 4 Os 3.27
Ge19 0.0669 0.4331 0.0000  1 Ge 2.48, 2 Os 2.50
Os7 0.7515 0.0181 0.0000  5 Ge 2.45-2.61
Os8 0.2485 0.9819 0.0000  5 Ge 2.45-2.61
Tm9 0.6714 0.1714 0.5000  8 Ge 2.87-3.12, 4 Os 3.10
Ge20 0.5083 0.3445 0.5000  2 Os 2.45
Tm10 0.6164 0.8836 0.5000  10 Ge 3.27-3.41, 4 Os 3.27

Record 5
The following is a DFT calculation (PBE) of crystalline Tm3Ge13Os4 at its relaxed geometry.

theoretical density	9.902	Mg/m³
E_form	-6.48	eV per formula unit
V	18.55	Å³/atom

Unit cell a=9.0528 b=9.0528 c=9.0528 alpha=90.00 beta=90.00 gamma=90.00
Last column: nearest neighbours and their distance in Å.
Fractional positions:
Tm1 0.2500 0.0000 0.5000  12 Ge 3.18-3.24, 4 Os 3.20
Ge1 0.5000 0.5000 0.5000  12 Ge 3.02
Ge2 0.6455 0.5000 0.8007  2 Os 2.50, 1 Ge 2.63
Ge3 0.0000 0.8545 0.3007  2 Os 2.50, 1 Ge 2.63
Os1 0.2500 0.2500 0.2500  6 Ge 2.50
Ge4 0.3007 0.0000 0.8545  2 Os 2.50, 1 Ge 2.63
Ge5 0.5000 0.8007 0.6455  2 Os 2.50, 1 Ge 2.63
Ge6 0.3545 0.5000 0.8007  2 Os 2.50, 1 Ge 2.63
Tm2 0.0000 0.5000 0.7500  12 Ge 3.18-3.24, 4 Os 3.20
Ge7 0.0000 0.0000 0.0000  12 Ge 3.02
Os2 0.2500 0.2500 0.7500  6 Ge 2.50
Tm3 0.7500 0.0000 0.5000  12 Ge 3.18-3.24, 4 Os 3.20
Ge8 0.6993 0.0000 0.8545  2 Os 2.50, 1 Ge 2.63
Ge9 0.8545 0.3007 0.0000  2 Os 2.50, 1 Ge 2.63
Ge10 0.1993 0.6455 0.5000  2 Os 2.50, 1 Ge 2.63
Ge11 0.8007 0.3545 0.5000  2 Os 2.50, 1 Ge 2.63
Ge12 0.8007 0.6455 0.5000  2 Os 2.50, 1 Ge 2.63
Os3 0.7500 0.2500 0.2500  6 Ge 2.50
Ge13 0.8545 0.6993 0.0000  2 Os 2.50, 1 Ge 2.63
Ge14 0.0000 0.1455 0.6993  2 Os 2.50, 1 Ge 2.63
Ge15 0.3007 0.0000 0.1455  2 Os 2.50, 1 Ge 2.63
Ge16 0.1455 0.3007 0.0000  2 Os 2.50, 1 Ge 2.63
Os4 0.7500 0.2500 0.7500  6 Ge 2.50
Tm4 0.5000 0.7500 0.0000  12 Ge 3.18-3.24, 4 Os 3.20
Ge17 0.1993 0.3545 0.5000  2 Os 2.50, 1 Ge 2.63
Ge18 0.3545 0.5000 0.1993  2 Os 2.50, 1 Ge 2.63
Ge19 0.5000 0.1993 0.3545  2 Os 2.50, 1 Ge 2.63
Ge20 0.6993 0.0000 0.1455  2 Os 2.50, 1 Ge 2.63
Os5 0.7500 0.7500 0.2500  6 Ge 2.50
Ge21 0.0000 0.1455 0.3007  2 Os 2.50, 1 Ge 2.63
Os6 0.7500 0.7500 0.7500  6 Ge 2.50
Ge22 0.0000 0.8545 0.6993  2 Os 2.50, 1 Ge 2.63
Ge23 0.6455 0.5000 0.1993  2 Os 2.50, 1 Ge 2.63
Tm5 0.0000 0.5000 0.2500  12 Ge 3.18-3.24, 4 Os 3.20
Os7 0.2500 0.7500 0.2500  6 Ge 2.50
Ge24 0.5000 0.8007 0.3545  2 Os 2.50, 1 Ge 2.63
Tm6 0.5000 0.2500 0.0000  12 Ge 3.18-3.24, 4 Os 3.20
Ge25 0.1455 0.6993 0.0000  2 Os 2.50, 1 Ge 2.63
Os8 0.2500 0.7500 0.7500  6 Ge 2.50
Ge26 0.5000 0.1993 0.6455  2 Os 2.50, 1 Ge 2.63

Record 6
The following is a DFT calculation (PBE) of crystalline TmGe2Os at its relaxed geometry.

theoretical density	11.820	Mg/m³
E_form	-2.12	eV per formula unit
V	17.72	Å³/atom

Unit cell a=8.3596 b=9.6267 c=10.5677 alpha=90.00 beta=90.00 gamma=90.00
Last column: nearest neighbours and their distance in Å.
Fractional positions:
Ge1 0.3482 0.8416 0.1796  1 Ge 2.54, 3 Os 2.57-2.66
Ge2 0.0000 0.4637 0.8817  2 Os 2.49, 1 Ge 2.60
Os1 0.7495 0.4112 0.7626  6 Ge 2.48-2.75
Ge3 0.0000 0.0363 0.3817  2 Os 2.49, 1 Ge 2.60
Os2 0.2505 0.5888 0.2374  6 Ge 2.48-2.75
Ge4 0.3482 0.6584 0.6796  1 Ge 2.54, 3 Os 2.57-2.66
Ge5 0.5000 0.6278 0.4035  4 Os 2.64-2.75, 2 Tm 2.88
Tm1 0.2452 0.8231 0.4494  8 Ge 2.82-3.10
Ge6 0.0000 0.1304 0.1008  4 Os 2.65-2.73, 4 Tm 2.82-2.95
Os3 0.7495 0.5888 0.2374  6 Ge 2.48-2.75
Ge7 0.0000 0.3696 0.6008  4 Os 2.65-2.73, 4 Tm 2.82-2.95
Ge8 0.5000 0.8722 0.9035  4 Os 2.64-2.75, 2 Tm 2.88
Tm2 0.7548 0.8231 0.4494  8 Ge 2.82-3.10
Tm3 0.2452 0.6769 0.9494  8 Ge 2.82-3.10
Ge9 0.5000 0.3722 0.5965  4 Os 2.64-2.75, 2 Tm 2.88
Tm4 0.0000 0.8356 0.1769  7 Ge 2.90-3.07, 4 Os 3.21-3.23
Os4 0.7511 0.5000 0.5000  6 Ge 2.57-2.65
Ge10 0.0000 0.6304 0.3992  4 Os 2.65-2.73, 4 Tm 2.82-2.95
Ge11 0.6518 0.6584 0.6796  1 Ge 2.54, 3 Os 2.57-2.66
Ge12 0.5000 0.1278 0.0965  4 Os 2.64-2.75, 2 Tm 2.88
Os5 0.2489 0.0000 0.0000  6 Ge 2.57-2.65
Tm5 0.0000 0.3356 0.3231  7 Ge 2.90-3.07, 4 Os 3.21-3.23
Tm6 0.7548 0.6769 0.9494  8 Ge 2.82-3.10
Tm7 0.2452 0.1769 0.5506  8 Ge 2.82-3.10
Tm8 0.0000 0.6644 0.6769  7 Ge 2.90-3.07, 4 Os 3.21-3.23
Tm9 0.7548 0.1769 0.5506  8 Ge 2.82-3.10
Ge13 0.0000 0.9637 0.6183  2 Os 2.49, 1 Ge 2.60
Os6 0.7511 0.0000 0.0000  6 Ge 2.57-2.65
Ge14 0.5000 0.5450 0.1176  2 Os 2.48, 1 Ge 2.63
Tm10 0.7548 0.3231 0.0506  8 Ge 2.82-3.10
Ge15 0.0000 0.5363 0.1183  2 Os 2.49, 1 Ge 2.60
Ge16 0.6518 0.3416 0.3204  1 Ge 2.54, 3 Os 2.57-2.66
Os7 0.2489 0.5000 0.5000  6 Ge 2.57-2.65
Ge17 0.3482 0.3416 0.3204  1 Ge 2.54, 3 Os 2.57-2.66
Ge18 0.6518 0.1584 0.8204  1 Ge 2.54, 3 Os 2.57-2.66
Ge19 0.5000 0.9550 0.6176  2 Os 2.48, 1 Ge 2.63
Tm11 0.0000 0.1644 0.8231  7 Ge 2.90-3.07, 4 Os 3.21-3.23
Ge20 0.5000 0.0450 0.3824  2 Os 2.48, 1 Ge 2.63
Ge21 0.6518 0.8416 0.1796  1 Ge 2.54, 3 Os 2.57-2.66
Os8 0.2505 0.4112 0.7626  6 Ge 2.48-2.75
Ge22 0.5000 0.4550 0.8824  2 Os 2.48, 1 Ge 2.63
Os9 0.7495 0.9112 0.7374  6 Ge 2.48-2.75
Os10 0.2505 0.9112 0.7374  6 Ge 2.48-2.75
Os11 0.7495 0.0888 0.2626  6 Ge 2.48-2.75
Os12 0.2505 0.0888 0.2626  6 Ge 2.48-2.75
Ge23 0.0000 0.8696 0.8992  4 Os 2.65-2.73, 4 Tm 2.82-2.95
Tm12 0.2452 0.3231 0.0506  8 Ge 2.82-3.10
Ge24 0.3482 0.1584 0.8204  1 Ge 2.54, 3 Os 2.57-2.66

Question: Which of these has the lowest theoretical density?
Answer: ScGe2Os

Question: What is the E_form in the fourth record?
Answer: -10.06 eV per formula unit